# 1
Sr3InNiO6 | GGA+U | relaxed

Results
For the calculated volume, the calculation gives 14.01 Å³/atom. The calculation puts the energy of formation from the pure elements at -2414 meV per atom. As for the calculated density: 5.7 g cm⁻³. For the energy relative to the lowest polymorph listed for this composition, the calculation gives 0.0 kJ/mol of atoms. As for the crystal system: monoclinic. For the MP2020-corrected energy, the calculation gives -279.36 eV per cell.

a = 9.459 Å, b = 9.752 Å, c = 6.695 Å
α = 90.00°, β = 93.36°, γ = 90.00°
Space group P2_1/c (No. 14)
One atom of each set of equivalent atoms:
Sr 0.058 0.185 0.114 [4 per cell]
Sr 0.255 0.630 0.759 [4 per cell]
Sr 0.426 0.186 0.377 [4 per cell]
In 0.249 0.502 0.254 [4 per cell]
Ni 0.000 0.000 0.500 [2 per cell]
Ni 0.500 0.000 0.000 [2 per cell]
O 0.017 0.063 0.776 [4 per cell]
O 0.134 0.670 0.102 [4 per cell]
O 0.180 0.097 0.462 [4 per cell]
O 0.299 0.099 0.040 [4 per cell]
O 0.392 0.661 0.419 [4 per cell]
O 0.473 0.063 0.714 [4 per cell]

# 2
Sr3InNiO6 | GGA+U | relaxed

Results
For the calculated volume, the calculation gives 14.06 Å³/atom. The calculation puts the energy of formation from the pure elements at -2411 meV per atom. As for the calculated density: 5.7 g cm⁻³. For the energy relative to the lowest polymorph listed for this composition, the calculation gives 0.3 kJ/mol of atoms. As for the crystal system: monoclinic. For the MP2020-corrected energy, the calculation gives -558.44 eV per cell.

a = 9.249 Å, b = 9.732 Å, c = 13.767 Å
α = 90.00°, β = 92.68°, γ = 90.00°
Space group C2 (No. 5)
One atom of each set of equivalent atoms:
Sr 0.000 0.000 0.000 [2 per cell]
Sr 0.000 0.001 0.500 [2 per cell]
Sr 0.001 0.238 0.250 [4 per cell]
Sr 0.185 0.553 0.815 [4 per cell]
Sr 0.185 0.685 0.565 [4 per cell]
Sr 0.186 0.551 0.316 [4 per cell]
Sr 0.187 0.686 0.066 [4 per cell]
In 0.000 0.372 0.500 [2 per cell]
In 0.000 0.373 0.000 [2 per cell]
In 0.001 0.866 0.749 [4 per cell]
Ni 0.250 0.368 0.625 [4 per cell]
Ni 0.250 0.369 0.125 [4 per cell]
O 0.064 0.467 0.648 [4 per cell]
O 0.065 0.770 0.398 [4 per cell]
O 0.069 0.772 0.898 [4 per cell]
O 0.070 0.466 0.147 [4 per cell]
O 0.125 0.031 0.331 [4 per cell]
O 0.125 0.207 0.581 [4 per cell]
O 0.127 0.029 0.832 [4 per cell]
O 0.127 0.209 0.081 [4 per cell]
O 0.222 0.439 0.977 [4 per cell]
O 0.223 0.799 0.728 [4 per cell]
O 0.223 0.800 0.230 [4 per cell]
O 0.224 0.437 0.481 [4 per cell]

# 3
Sr3InNiO6 | GGA+U | relaxed

Results
For the calculated volume, the calculation gives 14.08 Å³/atom. The calculation puts the energy of formation from the pure elements at -2406 meV per atom. As for the calculated density: 5.7 g cm⁻³. For the energy relative to the lowest polymorph listed for this composition, the calculation gives 0.8 kJ/mol of atoms. As for the crystal system: trigonal. For the MP2020-corrected energy, the calculation gives -418.51 eV per cell.

a = 9.7528 Å, b = 9.7528 Å, c = 11.2823 Å
α = 90.00°, β = 90.00°, γ = 120.00°
Space group R-3c (No. 167, hexagonal axes)
One atom of each set of equivalent atoms:
Sr 0.0000 0.3712 0.2500 [18 per cell]
In 0.0000 0.0000 0.2500 [6 per cell]
Ni 0.0000 0.0000 0.0000 [6 per cell]
O 0.0235 0.1760 0.3875 [36 per cell]

# 4
Sr2VInO6 | GGA+U | relaxed

Results
For the calculated volume, the calculation gives 13.12 Å³/atom. The calculation puts the energy of formation from the pure elements at -2668 meV per atom. As for the calculated density: 5.5 g cm⁻³. As for the crystal system: cubic. For the MP2020-corrected energy, the calculation gives -286.35 eV per cell.

a = 8.065 Å, b = 8.065 Å, c = 8.065 Å
α = 90.00°, β = 90.00°, γ = 90.00°
Space group Fm-3m (No. 225)
One atom of each set of equivalent atoms:
Sr 0.250 0.250 0.250 [8 per cell]
V 0.000 0.000 0.000 [4 per cell]
In 0.000 0.000 0.500 [4 per cell]
O 0.000 0.000 0.235 [24 per cell]

# 5
Sr2InWO6 | GGA+U | relaxed

Results
For the calculated volume, the calculation gives 14.08 Å³/atom. The calculation puts the energy of formation from the pure elements at -2521 meV per atom. As for the calculated density: 6.7 g cm⁻³. As for the crystal system: cubic. For the MP2020-corrected energy, the calculation gives -295.93 eV per cell.

a = 8.258 Å, b = 8.258 Å, c = 8.258 Å
α = 90.00°, β = 90.00°, γ = 90.00°
Space group Fm-3m (No. 225)
One atom of each set of equivalent atoms:
Sr 0.250 0.250 0.250 [8 per cell]
In 0.000 0.000 0.000 [4 per cell]
W 0.000 0.000 0.500 [4 per cell]
O 0.000 0.000 0.259 [24 per cell]

# 6
VInTe2O8 | GGA+U | relaxed

Results
For the calculated volume, the calculation gives 15.06 Å³/atom. The calculation puts the energy of formation from the pure elements at -1863 meV per atom. As for the calculated density: 5.0 g cm⁻³. As for the crystal system: monoclinic. For the MP2020-corrected energy, the calculation gives -320.25 eV per cell.

a = 8.093 Å, b = 5.265 Å, c = 18.244 Å
α = 90.00°, β = 111.56°, γ = 90.00°
Space group P2_1/c (No. 14)
One atom of each set of equivalent atoms:
V 0.218 0.203 0.074 [4 per cell]
In 0.480 0.223 0.326 [4 per cell]
Te 0.158 0.745 0.222 [4 per cell]
Te 0.293 0.641 0.431 [4 per cell]
O 0.053 0.132 0.583 [4 per cell]
O 0.140 0.561 0.323 [4 per cell]
O 0.160 0.087 0.972 [4 per cell]
O 0.235 0.032 0.287 [4 per cell]
O 0.262 0.569 0.642 [4 per cell]
O 0.384 0.566 0.248 [4 per cell]
O 0.401 0.102 0.597 [4 per cell]
O 0.467 0.105 0.930 [4 per cell]

# 7
VInO4 | GGA+U | relaxed

Results
For the calculated volume, the calculation gives 11.48 Å³/atom. The calculation puts the energy of formation from the pure elements at -2167 meV per atom. As for the calculated density: 5.5 g cm⁻³. As for the crystal system: monoclinic. For the MP2020-corrected energy, the calculation gives -89.26 eV per cell.

a = 4.795 Å, b = 5.720 Å, c = 5.029 Å
α = 90.00°, β = 92.61°, γ = 90.00°
Space group P2/c (No. 13)
One atom of each set of equivalent atoms:
V 0.000 0.175 0.250 [2 per cell]
In 0.500 0.303 0.750 [2 per cell]
O 0.210 0.096 0.953 [4 per cell]
O 0.250 0.375 0.388 [4 per cell]

# 8
VInO4 | GGA+U | relaxed

Results
For the calculated volume, the calculation gives 14.25 Å³/atom. The calculation puts the energy of formation from the pure elements at -2217 meV per atom. As for the calculated density: 4.5 g cm⁻³. As for the crystal system: orthorhombic. For the MP2020-corrected energy, the calculation gives -179.73 eV per cell.

a = 5.847 Å, b = 8.647 Å, c = 6.765 Å
α = 90.00°, β = 90.00°, γ = 90.00°
Space group Cmcm (No. 63)
One atom of each set of equivalent atoms:
V 0.000 0.139 0.250 [4 per cell]
In 0.000 0.500 0.000 [4 per cell]
O 0.000 0.253 0.046 [8 per cell]
O 0.241 0.476 0.750 [8 per cell]